# RbNaO3

A relaxed structure of RbNaO3 (PBE, the Materials Project database).

Symmetry: Pm-3m (221)
E_tot, eV per cell: -17.62
Corrected total energy (MP2020 scheme), eV/atom: -3.935
V, Å³ per cell: 92.8

abc: 4.528 4.528 4.528
angles: 90.00 90.00 90.00
Fractional positions:
Na 0.500 0.500 0.500
O 0.500 0.500 0.000
O 0.000 0.500 0.500
O 0.500 0.000 0.500
Rb 0.000 0.000 0.000